1.
The following is a GGA+U calculation of a relaxed structure of VZnAsO5, from the Materials Project database.

abc: 6.226 8.203 8.362
angles: 90.00 90.00 90.00
Fractional positions:
O (0.270, 0.629, 0.783)
O (0.512, 0.888, 0.896)
O (0.273, 0.076, 0.688)
O (0.955, 0.283, 0.030)
O (0.495, 0.146, 0.400)
O (0.773, 0.424, 0.312)
As (0.505, 0.583, 0.684)
As (0.005, 0.917, 0.316)
O (0.227, 0.924, 0.188)
O (0.770, 0.871, 0.217)
O (0.730, 0.129, 0.717)
O (0.505, 0.646, 0.100)
As (0.495, 0.083, 0.816)
Zn (0.410, 0.144, 0.183)
As (0.995, 0.417, 0.184)
Zn (0.910, 0.356, 0.817)
V (0.740, 0.255, 0.494)
O (0.727, 0.576, 0.812)
V (0.760, 0.745, 0.994)
O (0.012, 0.612, 0.104)
O (0.488, 0.388, 0.604)
O (0.988, 0.112, 0.396)
O (0.455, 0.217, 0.970)
O (0.995, 0.354, 0.600)
O (0.230, 0.371, 0.283)
O (0.005, 0.854, 0.900)
Zn (0.090, 0.856, 0.683)
O (0.545, 0.717, 0.530)
O (0.045, 0.783, 0.470)
V (0.240, 0.245, 0.506)
V (0.260, 0.755, 0.006)
Zn (0.590, 0.644, 0.317)

## Properties
Calculated volume ... 13.346 Å³ per atom
Electronic total energy ... -6.31 eV per atom



2.
The following is a GGA+U calculation of a relaxed structure of VZnAs2O7, from the Materials Project database.

abc: 8.168 7.850 11.071
angles: 58.79 90.00 90.00
Fractional positions:
As (0.711, 0.971, 0.963)
O (0.582, 0.991, 0.824)
O (0.766, 0.320, 0.778)
V (0.943, 0.190, 0.705)
O (0.234, 0.680, 0.222)
O (0.345, 0.302, 0.914)
Zn (0.933, 0.262, 0.120)
O (0.573, 0.531, 0.383)
O (0.301, 0.762, 0.921)
O (0.801, 0.238, 0.579)
Zn (0.433, 0.738, 0.380)
As (0.211, 0.029, 0.537)
O (0.266, 0.680, 0.722)
V (0.443, 0.810, 0.795)
As (0.714, 0.548, 0.263)
As (0.286, 0.452, 0.737)
As (0.789, 0.971, 0.463)
O (0.082, 0.009, 0.676)
Zn (0.567, 0.262, 0.620)
As (0.214, 0.452, 0.237)
O (0.655, 0.698, 0.086)
O (0.905, 0.947, 0.884)
As (0.786, 0.548, 0.763)
V (0.557, 0.190, 0.205)
As (0.289, 0.029, 0.037)
O (0.405, 0.053, 0.616)
O (0.155, 0.302, 0.414)
O (0.595, 0.947, 0.384)
O (0.734, 0.320, 0.278)
O (0.845, 0.698, 0.586)
O (0.605, 0.643, 0.781)
O (0.927, 0.531, 0.883)
O (0.095, 0.053, 0.116)
O (0.105, 0.357, 0.719)
O (0.895, 0.643, 0.281)
O (0.699, 0.238, 0.079)
O (0.073, 0.469, 0.117)
O (0.418, 0.009, 0.176)
O (0.427, 0.469, 0.617)
O (0.395, 0.357, 0.219)
Zn (0.067, 0.738, 0.880)
O (0.918, 0.991, 0.324)
V (0.057, 0.810, 0.295)
O (0.199, 0.762, 0.421)

## Properties
Calculated volume ... 13.798 Å³ per atom
Electronic total energy ... -6.20 eV per atom



3.
The following is a GGA+U calculation of a relaxed structure of V3Zn3As4O16, from the Materials Project database.

abc: 5.172 9.069 15.518
angles: 71.74 90.00 90.00
Fractional positions:
V (0.059, 0.241, 0.119)
O (0.304, 0.999, 0.375)
O (0.645, 0.899, 0.817)
O (0.831, 0.615, 0.389)
O (0.127, 0.365, 0.808)
O (0.823, 0.450, 0.078)
O (0.331, 0.385, 0.111)
O (0.373, 0.365, 0.308)
O (0.677, 0.450, 0.578)
O (0.145, 0.101, 0.683)
O (0.083, 0.790, 0.757)
V (0.000, 0.500, 0.500)
O (0.814, 0.107, 0.423)
O (0.196, 0.999, 0.875)
O (0.400, 0.227, 0.499)
O (0.804, 0.001, 0.125)
As (0.031, 0.614, 0.098)
V (0.941, 0.759, 0.881)
As (0.531, 0.386, 0.402)
Zn (0.454, 0.721, 0.775)
O (0.323, 0.550, 0.422)
As (0.011, 0.947, 0.654)
Zn (0.000, 0.000, 0.000)
O (0.355, 0.101, 0.183)
O (0.186, 0.893, 0.577)
O (0.627, 0.635, 0.692)
O (0.417, 0.790, 0.257)
V (0.559, 0.759, 0.381)
V (0.441, 0.241, 0.619)
As (0.511, 0.053, 0.846)
O (0.855, 0.899, 0.317)
O (0.177, 0.550, 0.922)
As (0.469, 0.614, 0.598)
As (0.489, 0.947, 0.154)
O (0.100, 0.227, 0.999)
O (0.686, 0.107, 0.923)
O (0.583, 0.210, 0.743)
O (0.696, 0.001, 0.625)
Zn (0.954, 0.279, 0.725)
Zn (0.500, 0.000, 0.500)
O (0.900, 0.773, 0.001)
O (0.873, 0.635, 0.192)
As (0.989, 0.053, 0.346)
O (0.917, 0.210, 0.243)
O (0.169, 0.385, 0.611)
As (0.969, 0.386, 0.902)
Zn (0.546, 0.279, 0.225)
Zn (0.046, 0.721, 0.275)
O (0.669, 0.615, 0.889)
O (0.314, 0.893, 0.077)
O (0.600, 0.773, 0.501)
V (0.500, 0.500, 0.000)

## Properties
Calculated volume ... 13.293 Å³ per atom
Electronic total energy ... -6.14 eV per atom



4.
The following is a GGA+U calculation of a relaxed structure of As2W2O11, from the Materials Project database.

abc: 6.576 8.373 16.642
angles: 90.00 90.00 90.00
Fractional positions:
O (0.750, 0.113, 0.494)
O (0.549, 0.425, 0.795)
O (0.549, 0.075, 0.295)
O (0.951, 0.786, 0.929)
O (0.750, 0.445, 0.484)
O (0.049, 0.286, 0.571)
O (0.951, 0.425, 0.795)
O (0.250, 0.315, 0.893)
O (0.250, 0.288, 0.236)
W (0.750, 0.269, 0.563)
O (0.750, 0.055, 0.984)
W (0.750, 0.919, 0.697)
O (0.451, 0.575, 0.205)
O (0.549, 0.714, 0.429)
O (0.250, 0.970, 0.855)
As (0.250, 0.011, 0.756)
O (0.250, 0.555, 0.516)
O (0.750, 0.135, 0.658)
O (0.250, 0.945, 0.016)
O (0.250, 0.635, 0.842)
As (0.250, 0.088, 0.089)
O (0.451, 0.214, 0.071)
As (0.250, 0.489, 0.256)
O (0.750, 0.365, 0.158)
O (0.750, 0.685, 0.107)
O (0.049, 0.575, 0.205)
O (0.549, 0.786, 0.929)
O (0.049, 0.214, 0.071)
O (0.250, 0.505, 0.680)
W (0.250, 0.419, 0.803)
As (0.750, 0.588, 0.411)
W (0.250, 0.769, 0.937)
O (0.951, 0.075, 0.295)
O (0.750, 0.788, 0.264)
O (0.250, 0.995, 0.180)
O (0.250, 0.613, 0.006)
O (0.250, 0.530, 0.355)
As (0.750, 0.989, 0.244)
O (0.750, 0.387, 0.994)
O (0.250, 0.212, 0.736)
W (0.750, 0.581, 0.197)
O (0.750, 0.712, 0.764)
As (0.750, 0.511, 0.744)
O (0.250, 0.887, 0.506)
O (0.750, 0.815, 0.607)
O (0.250, 0.185, 0.393)
As (0.750, 0.912, 0.911)
O (0.049, 0.925, 0.705)
O (0.750, 0.005, 0.820)
As (0.250, 0.412, 0.589)
W (0.250, 0.731, 0.437)
W (0.750, 0.231, 0.063)
O (0.750, 0.470, 0.645)
W (0.250, 0.081, 0.303)
O (0.451, 0.286, 0.571)
O (0.750, 0.030, 0.145)
O (0.451, 0.925, 0.705)
O (0.951, 0.714, 0.429)
O (0.750, 0.495, 0.320)
O (0.250, 0.865, 0.342)

## Properties
Calculated volume ... 15.272 Å³ per atom
Electronic total energy ... -6.75 eV per atom



5.
The following is a GGA+U calculation of a relaxed structure of As4W3O16, from the Materials Project database.

abc: 4.988 8.539 15.864
angles: 81.48 90.00 90.00
Fractional positions:
As (0.513, 0.828, 0.168)
O (0.790, 0.414, 0.078)
As (0.019, 0.383, 0.895)
O (0.645, 0.870, 0.850)
O (0.283, 0.775, 0.608)
O (0.110, 0.770, 0.774)
O (0.213, 0.302, 0.989)
O (0.610, 0.230, 0.726)
W (0.500, 0.500, 0.000)
O (0.210, 0.586, 0.922)
As (0.487, 0.172, 0.832)
O (0.638, 0.069, 0.579)
O (0.145, 0.130, 0.650)
As (0.981, 0.617, 0.105)
O (0.362, 0.931, 0.421)
O (0.710, 0.414, 0.578)
O (0.713, 0.698, 0.511)
O (0.787, 0.698, 0.011)
As (0.013, 0.172, 0.332)
As (0.519, 0.617, 0.605)
O (0.855, 0.870, 0.350)
W (0.954, 0.781, 0.886)
O (0.745, 0.637, 0.686)
W (0.454, 0.219, 0.614)
O (0.287, 0.302, 0.489)
O (0.249, 0.477, 0.609)
O (0.755, 0.637, 0.186)
O (0.749, 0.523, 0.891)
O (0.751, 0.523, 0.391)
O (0.255, 0.363, 0.314)
O (0.890, 0.230, 0.226)
As (0.481, 0.383, 0.395)
O (0.862, 0.069, 0.079)
O (0.217, 0.775, 0.108)
W (0.046, 0.219, 0.114)
O (0.783, 0.225, 0.892)
As (0.987, 0.828, 0.668)
O (0.251, 0.477, 0.109)
W (0.546, 0.781, 0.386)
O (0.355, 0.130, 0.150)
O (0.390, 0.770, 0.274)
O (0.290, 0.586, 0.422)
W (0.000, 0.500, 0.500)
O (0.717, 0.225, 0.392)
O (0.138, 0.931, 0.921)
O (0.245, 0.363, 0.814)

## Properties
Calculated volume ... 14.529 Å³ per atom
Electronic total energy ... -6.59 eV per atom



6.
The following is a GGA+U calculation of a relaxed structure of AsWO5, from the Materials Project database.

abc: 8.524 6.167 8.856
angles: 87.42 90.00 90.00
Fractional positions:
O (0.973, 0.436, 0.808)
O (0.889, 0.496, 0.287)
W (0.003, 0.217, 0.308)
O (0.447, 0.748, 0.471)
O (0.151, 0.996, 0.369)
W (0.528, 0.259, 0.698)
O (0.571, 0.743, 0.885)
As (0.902, 0.478, 0.631)
O (0.376, 0.992, 0.076)
O (0.876, 0.008, 0.924)
O (0.947, 0.252, 0.529)
O (0.868, 0.985, 0.278)
O (0.189, 0.503, 0.367)
As (0.044, 0.131, 0.900)
O (0.651, 0.004, 0.631)
O (0.594, 0.246, 0.883)
O (0.463, 0.289, 0.461)
O (0.473, 0.564, 0.192)
O (0.368, 0.015, 0.722)
O (0.071, 0.257, 0.115)
W (0.028, 0.741, 0.302)
W (0.503, 0.783, 0.692)
O (0.689, 0.497, 0.633)
As (0.402, 0.522, 0.369)
O (0.963, 0.711, 0.539)
O (0.389, 0.504, 0.713)
As (0.544, 0.869, 0.100)
O (0.094, 0.754, 0.117)

## Properties
Calculated volume ... 16.611 Å³ per atom
Electronic total energy ... -6.64 eV per atom



- Among the records above, which one has the lowest calculated volume?
  V3Zn3As4O16



- Among the records above, which one has the lowest electronic total energy?
  As2W2O11